No. 1
36
Lattice="15.283 0.000 0.000 0.000 5.898 0.000 0.000 0.000 5.468" Properties=species:S:1:pos:R:3 comment="PBE+U Nb2FeO6, relaxed" de_polymorph_mev_per_atom=100 formation_energy_ev_per_atom=-2.641 sg="No. 60" pbc="T T T"
Nb 2.479 1.066 0.347
Nb 2.479 4.833 3.081
Nb 5.162 1.883 3.081
Nb 5.162 4.015 0.347
Nb 10.121 1.883 5.121
Nb 10.121 4.015 2.387
Nb 12.803 1.066 2.387
Nb 12.803 4.833 5.121
Fe 0.000 2.008 4.101
Fe 0.000 3.891 1.367
Fe 7.641 0.942 1.367
Fe 7.641 4.957 4.101
O 1.183 2.377 0.285
O 1.183 3.521 3.019
O 1.620 0.394 3.960
O 1.620 5.504 1.226
O 3.562 1.741 1.774
O 3.562 4.157 4.508
O 4.079 1.208 4.508
O 4.079 4.691 1.774
O 6.022 2.555 1.226
O 6.022 3.344 3.960
O 6.458 0.572 3.019
O 6.458 5.326 0.285
O 8.825 0.572 5.183
O 8.825 5.326 2.449
O 9.261 2.555 1.508
O 9.261 3.344 4.242
O 11.203 1.208 3.694
O 11.203 4.691 0.960
O 11.721 1.741 0.960
O 11.721 4.157 3.694
O 13.663 0.394 4.242
O 13.663 5.504 1.508
O 14.100 2.377 2.449
O 14.100 3.521 5.183


No. 2
36
Lattice="5.333 0.000 0.000 0.003 5.831 0.000 0.109 0.017 14.955" Properties=species:S:1:pos:R:3 comment="PBE+U Nb2FeO6, relaxed" de_polymorph_mev_per_atom=41 formation_energy_ev_per_atom=-2.699 sg="No. 1" pbc="T T T"
Nb 0.000 0.000 0.000
Nb 0.121 2.913 12.416
Nb 0.196 0.935 7.482
Nb 0.208 3.835 4.947
Nb 2.778 3.845 14.953
Nb 2.787 0.943 12.412
Nb 2.863 2.902 7.484
Nb 2.876 5.830 4.948
Fe 1.424 1.040 2.473
Fe 1.494 4.006 9.947
Fe 4.090 2.790 2.473
Fe 4.154 5.671 9.951
O 0.634 5.496 8.729
O 0.602 2.552 3.703
O 1.046 4.018 13.817
O 1.052 1.109 13.553
O 1.179 2.489 8.427
O 1.206 5.377 3.990
O 1.672 5.367 0.943
O 1.802 2.499 11.467
O 1.929 1.095 6.344
O 1.941 4.007 6.080
O 2.271 2.542 1.248
O 2.348 5.503 11.169
O 3.267 1.280 3.703
O 3.302 4.173 8.728
O 3.713 5.673 13.816
O 3.720 2.752 13.555
O 3.846 1.346 8.432
O 3.872 4.286 3.990
O 4.338 4.294 0.943
O 4.469 1.359 11.471
O 4.596 2.738 6.345
O 4.609 5.659 6.079
O 4.937 1.288 1.248
O 5.016 4.183 11.168


No. 3
30
Lattice="5.345 0.000 0.000 -2.672 4.629 0.000 0.000 0.000 14.262" Properties=species:S:1:pos:R:3 comment="PBE+U Nb2Fe4O9, relaxed" formation_energy_ev_per_atom=-2.232 sg="No. 165" pbc="T T T"
Nb 0.000 0.000 2.014
Nb 0.000 0.000 5.117
Nb 0.000 0.000 9.146
Nb 0.000 0.000 12.248
Fe 0.000 3.086 0.225
Fe 0.000 3.086 4.373
Fe 0.000 3.086 7.356
Fe 0.000 3.086 11.504
Fe 2.672 1.543 2.758
Fe 2.672 1.543 6.906
Fe 2.672 1.543 9.889
Fe 2.672 1.543 14.037
O -0.757 1.311 3.566
O -1.916 3.318 10.697
O -0.777 1.563 13.065
O -1.707 3.174 5.934
O 1.513 0.000 3.566
O 0.757 1.311 10.697
O 0.777 1.563 5.934
O -0.930 4.520 13.065
O 1.742 0.109 8.329
O 0.965 1.454 1.197
O 1.707 3.174 13.065
O 0.930 4.520 5.934
O 3.603 0.109 1.197
O 1.895 3.066 8.329
O 3.831 0.000 10.697
O 1.916 3.318 3.566
O 4.380 1.454 8.329
O 3.450 3.066 1.197


| no. | raw total energy (eV per atom) | ρ (g/cm³) |
| --- | --- | --- |
| 1 | -8.417 | 4.550 |
| 2 | -8.475 | 4.822 |
| 3 | -7.792 | 5.207 |